Record 1
An optimized crystal structure of MgCuPO4, computed with PBE.

Output
As for the energy above the most stable polymorph in this dataset: 137 meV/atom. The total energy is -6.26 eV per atom. The crystal system is tetragonal. The value obtained for the MP2020-corrected energy is -6.657 eV per atom. The total magnetization comes out at 0.0 μB/cell. Its space group is No. 82.

a = 5.7740 Å, b = 4.8696 Å, c = 5.7740 Å
α = 53.64°, β = 90.00°, γ = 53.64°
Positions (direct):
1 O 0.2698 0.1314 0.0672
2 O 0.9328 0.8686 0.4012
3 O 0.5988 0.1314 0.8014
4 Mg 0.7500 0.5000 0.2500
5 Cu 0.0000 0.0000 0.0000
6 O 0.1986 0.8686 0.7302
7 P 0.2500 0.5000 0.7500

---

Record 2
An optimized crystal structure of SmGa3Ni, computed with PBE.

Output
As for the energy above the most stable polymorph in this dataset: 71 meV/atom. The total energy is -4.45 eV per atom. The crystal system is tetragonal. The total magnetization comes out at 0.0 μB/cell. Its space group is No. 119.

a = 6.0467 Å, b = 6.0467 Å, c = 6.0467 Å
α = 140.38°, β = 140.38°, γ = 57.28°
Positions (direct):
1 Ni 0.2500 0.7500 0.5000
2 Ga 0.7500 0.2500 0.5000
3 Ga 0.6174 0.6174 0.0000
4 Sm 0.0000 0.0000 0.0000
5 Ga 0.3826 0.3826 0.0000

---

Record 3
An optimized crystal structure of SnNF3, computed with PBE.

Output
As for the energy above the most stable polymorph in this dataset: 509 meV/atom. The total energy is -4.20 eV per atom. The crystal system is trigonal. The value obtained for the MP2020-corrected energy is -4.480 eV per atom. The total magnetization comes out at 6.0 μB/cell. Its space group is No. 148.

a = 5.7901 Å, b = 5.7901 Å, c = 5.7901 Å
α = 64.87°, β = 64.87°, γ = 64.87°
Positions (direct):
1 N 0.6180 0.6180 0.6180
2 F 0.7825 0.5039 0.0318
3 F 0.4961 0.9682 0.2175
4 F 0.0318 0.7825 0.5039
5 F 0.9682 0.2175 0.4961
6 N 0.3820 0.3820 0.3820
7 Sn 0.1295 0.1295 0.1295
8 F 0.5039 0.0318 0.7825
9 F 0.2175 0.4961 0.9682
10 Sn 0.8705 0.8705 0.8705

---

Record 4
An optimized crystal structure of Ba4In2O7, computed with PBE.

Output
As for the energy above the most stable polymorph in this dataset: 31 meV/atom. The total energy is -5.74 eV per atom. The crystal system is tetragonal. The value obtained for the MP2020-corrected energy is -6.112 eV per atom. The total magnetization comes out at 0.0 μB/cell. Its space group is No. 107.

a = 14.8323 Å, b = 14.8323 Å, c = 14.8323 Å
α = 163.61°, β = 163.61°, γ = 23.26°
Positions (direct):
1 Ba 0.7896 0.7896 0.0000
2 O 0.3864 0.8864 0.5000
3 In 0.3636 0.3636 0.0000
4 O 0.1282 0.6282 0.5000
5 In 0.6260 0.6260 0.0000
6 Ba 0.1924 0.1924 0.0000
7 O 0.8864 0.3864 0.5000
8 Ba 0.9373 0.9373 0.0000
9 O 0.7081 0.7081 0.0000
10 O 0.2923 0.2923 0.0000
11 O 0.6282 0.1282 0.5000
12 Ba 0.0651 0.0651 0.0000
13 O 0.5451 0.5451 0.0000